1.
{
  "formula": "KAlO",
  "functional": "PBE-GGA",
  "state": "relaxed",
  "corrected_energy_ev_per_atom": -4.944,
  "lattice_angstrom": [[3.4628, -0.3779, 3.9378], [4.1539, 3.2222, -0.0510], [-1.9294, 7.2054, 6.1691]],
  "species": ["K", "K", "K", "K", "Al", "Al", "Al", "Al", "O", "O", "O", "O"],
  "frac_coords": [[0.9516, 0.4221, 0.1888], [0.0389, 0.5828, 0.8124], [0.4221, 0.9516, 0.6888], [0.5828, 0.0389, 0.3124], [0.7970, 0.3474, 0.5545], [0.3474, 0.7970, 0.0545], [0.6435, 0.1982, 0.9509], [0.1982, 0.6435, 0.4509], [0.9553, 0.9840, 0.5139], [0.9840, 0.9553, 0.0139], [0.7359, 0.2962, 0.7530], [0.2962, 0.7359, 0.2530]]
}

2.
{
  "formula": "KAl3P8O36",
  "functional": "PBE-GGA",
  "state": "relaxed",
  "corrected_energy_ev_per_atom": -6.669,
  "lattice_angstrom": [[0.8426, -3.8484, -8.9231], [1.0599, 5.6385, -7.8883], [17.1276, -0.5659, 1.5913]],
  "species": ["O", "O", "O", "O", "O", "O", "O", "O", "O", "O", "O", "O", "O", "O", "O", "O", "O", "O", "O", "O", "O", "O", "O", "O", "O", "O", "O", "O", "O", "O", "O", "O", "O", "O", "O", "O", "O", "O", "O", "O", "O", "O", "O", "O", "O", "O", "O", "O", "O", "O", "O", "O", "O", "O", "O", "O", "O", "O", "O", "O", "O", "O", "O", "O", "O", "O", "O", "O", "O", "O", "O", "O", "P", "P", "P", "P", "P", "P", "P", "P", "P", "P", "P", "P", "P", "P", "P", "P", "Al", "Al", "Al", "Al", "Al", "Al", "K", "K"],
  "frac_coords": [[0.9687, 0.4293, 0.5633], [0.9946, 0.9646, 0.3662], [0.9965, 0.3349, 0.7042], [0.2085, 0.5434, 0.1200], [0.4212, 0.7556, 0.6801], [0.6288, 0.8573, 0.1761], [0.0354, 0.0054, 0.1338], [0.4674, 0.7363, 0.1286], [0.5802, 0.8922, 0.6767], [0.5697, 0.5336, 0.3056], [0.6651, 0.0035, 0.7958], [0.4423, 0.3090, 0.0648], [0.8573, 0.6288, 0.6761], [0.7363, 0.4674, 0.6286], [0.2657, 0.6703, 0.5168], [0.9646, 0.9946, 0.8662], [0.1758, 0.9794, 0.9465], [0.0054, 0.0354, 0.6338], [0.7210, 0.8548, 0.4862], [0.4664, 0.4303, 0.1944], [0.5577, 0.6910, 0.9352], [0.8982, 0.8590, 0.1775], [0.2790, 0.1452, 0.5138], [0.0035, 0.6651, 0.2958], [0.7915, 0.4566, 0.8800], [0.9427, 0.7185, 0.8045], [0.0741, 0.6007, 0.9348], [0.4198, 0.1078, 0.3233], [0.7556, 0.4212, 0.1801], [0.6703, 0.2657, 0.0168], [0.3090, 0.4423, 0.5648], [0.6910, 0.5577, 0.4352], [0.3993, 0.9259, 0.5652], [0.8922, 0.5802, 0.1767], [0.5336, 0.5697, 0.8056], [0.9259, 0.3993, 0.0652], [0.6007, 0.0741, 0.4348], [0.9794, 0.1758, 0.4465], [0.4566, 0.7915, 0.3800], [0.4293, 0.9687, 0.0633], [0.8548, 0.7210, 0.9862], [0.0573, 0.2815, 0.1955], [0.0206, 0.8242, 0.5535], [0.0313, 0.5707, 0.4367], [0.6742, 0.7242, 0.8106], [0.8391, 0.2515, 0.3147], [0.2444, 0.5788, 0.8199], [0.4303, 0.4664, 0.6944], [0.3712, 0.1427, 0.8239], [0.2637, 0.5326, 0.3714], [0.1427, 0.3712, 0.3239], [0.1078, 0.4198, 0.8233], [0.2758, 0.3258, 0.6894], [0.8590, 0.8982, 0.6775], [0.7343, 0.3297, 0.4832], [0.8242, 0.0206, 0.0535], [0.3297, 0.7343, 0.9832], [0.1609, 0.7485, 0.6853], [0.1018, 0.1410, 0.8225], [0.5707, 0.0313, 0.9367], [0.2515, 0.8391, 0.8147], [0.3258, 0.2758, 0.1894], [0.1410, 0.1018, 0.3225], [0.5434, 0.2085, 0.6200], [0.3349, 0.9965, 0.2042], [0.5788, 0.2444, 0.3199], [0.7485, 0.1609, 0.1853], [0.7185, 0.9427, 0.3045], [0.2815, 0.0573, 0.6955], [0.7242, 0.6742, 0.3106], [0.1452, 0.2790, 0.0138], [0.5326, 0.2637, 0.8714], [0.1262, 0.9862, 0.8593], [0.5318, 0.1094, 0.8543], [0.9862, 0.1262, 0.3593], [0.8906, 0.4682, 0.6457], [0.5807, 0.0908, 0.3435], [0.4193, 0.9092, 0.6565], [0.1094, 0.5318, 0.3543], [0.0908, 0.5807, 0.8435], [0.9092, 0.4193, 0.1565], [0.8738, 0.0138, 0.1407], [0.3888, 0.3643, 0.6447], [0.3643, 0.3888, 0.1447], [0.6112, 0.6357, 0.3553], [0.4682, 0.8906, 0.1457], [0.0138, 0.8738, 0.6407], [0.6357, 0.6112, 0.8553], [0.2363, 0.1898, 0.2598], [0.8102, 0.7637, 0.2402], [0.7637, 0.8102, 0.7402], [0.6592, 0.3408, 0.2500], [0.1898, 0.2363, 0.7598], [0.3408, 0.6592, 0.7500], [0.2414, 0.7586, 0.2500], [0.7586, 0.2414, 0.7500]]
}

3.
{
  "formula": "KAlPO5",
  "functional": "PBE-GGA",
  "state": "relaxed",
  "corrected_energy_ev_per_atom": -7.061,
  "lattice_angstrom": [[-6.2749, -0.8171, -0.3930], [1.4638, -9.0282, -4.6024], [0.0419, -5.8064, 11.4032]],
  "species": ["O", "O", "O", "O", "O", "O", "O", "O", "O", "O", "O", "O", "O", "O", "O", "O", "O", "O", "O", "O", "O", "O", "O", "O", "O", "O", "O", "O", "O", "O", "O", "O", "O", "O", "O", "O", "O", "O", "O", "O", "Al", "Al", "Al", "Al", "Al", "Al", "Al", "Al", "K", "K", "K", "K", "K", "K", "K", "K", "P", "P", "P", "P", "P", "P", "P", "P"],
  "frac_coords": [[0.4346, 0.0251, 0.1517], [0.4417, 0.7110, 0.1365], [0.2880, 0.1261, 0.9745], [0.6932, 0.1363, 0.0070], [0.0583, 0.7890, 0.1365], [0.7120, 0.1261, 0.4745], [0.5583, 0.2890, 0.8635], [0.9417, 0.7890, 0.6365], [0.7836, 0.3799, 0.2678], [0.2120, 0.6261, 0.5255], [0.2836, 0.1201, 0.7678], [0.2880, 0.8739, 0.5255], [0.7880, 0.3739, 0.4745], [0.9346, 0.5251, 0.8483], [0.3068, 0.1363, 0.5070], [0.1932, 0.3637, 0.5070], [0.4417, 0.2890, 0.3635], [0.5583, 0.7110, 0.6365], [0.0583, 0.2110, 0.3635], [0.6932, 0.8637, 0.4930], [0.2164, 0.6201, 0.7322], [0.0654, 0.4749, 0.1517], [0.5654, 0.0251, 0.6517], [0.9417, 0.2110, 0.8635], [0.9346, 0.4749, 0.6517], [0.7120, 0.8739, 0.0255], [0.7164, 0.1201, 0.2678], [0.0654, 0.5251, 0.3483], [0.4346, 0.9749, 0.3483], [0.3068, 0.8637, 0.9930], [0.5654, 0.9749, 0.8483], [0.2120, 0.3739, 0.9745], [0.2836, 0.8799, 0.7322], [0.7836, 0.6201, 0.2322], [0.8068, 0.3637, 0.0070], [0.7164, 0.8799, 0.2322], [0.2164, 0.3799, 0.7678], [0.1932, 0.6363, 0.9930], [0.7880, 0.6261, 0.0255], [0.8068, 0.6363, 0.4930], [0.0000, 0.5000, 0.0000], [0.5000, 0.0000, 0.0000], [0.7500, 0.2500, 0.3693], [0.2500, 0.2500, 0.8693], [0.2500, 0.7500, 0.6307], [0.5000, 0.0000, 0.5000], [0.7500, 0.7500, 0.1307], [0.0000, 0.5000, 0.5000], [0.9627, 0.1528, 0.6446], [0.9627, 0.8472, 0.8554], [0.5373, 0.6528, 0.8554], [0.5373, 0.3472, 0.6446], [0.0373, 0.1528, 0.1446], [0.0373, 0.8472, 0.3554], [0.4627, 0.6528, 0.3554], [0.4627, 0.3472, 0.1446], [0.0710, 0.5000, 0.7500], [0.7500, 0.7500, 0.5691], [0.9290, 0.5000, 0.2500], [0.5710, 0.0000, 0.2500], [0.2500, 0.2500, 0.4309], [0.4290, 0.0000, 0.7500], [0.2500, 0.7500, 0.0691], [0.7500, 0.2500, 0.9309]]
}

4.
{
  "formula": "KAl2P2O11",
  "functional": "PBE-GGA",
  "state": "relaxed",
  "corrected_energy_ev_per_atom": -6.833,
  "lattice_angstrom": [[-6.8390, -1.8949, -6.8915], [-6.1038, -1.7278, 6.5324], [-7.2360, 7.6940, 5.0653]],
  "species": ["K", "K", "K", "K", "P", "P", "P", "P", "P", "P", "P", "P", "O", "O", "O", "O", "O", "O", "O", "O", "O", "O", "O", "O", "O", "O", "O", "O", "O", "O", "O", "O", "O", "O", "O", "O", "O", "O", "O", "O", "O", "O", "O", "O", "O", "O", "O", "O", "O", "O", "O", "O", "O", "O", "O", "O", "Al", "Al", "Al", "Al", "Al", "Al", "Al", "Al"],
  "frac_coords": [[0.3188, 0.3718, 0.5167], [0.1812, 0.3718, 0.0167], [0.8188, 0.6282, 0.9833], [0.6812, 0.6282, 0.4833], [0.4662, 0.3691, 0.7969], [0.9662, 0.6309, 0.7031], [0.1923, 0.8485, 0.2912], [0.0338, 0.3691, 0.2969], [0.6923, 0.1515, 0.2088], [0.3077, 0.8485, 0.7912], [0.8077, 0.1515, 0.7088], [0.5338, 0.6309, 0.2031], [0.1253, 0.5086, 0.1720], [0.1027, 0.5388, 0.7146], [0.8747, 0.4914, 0.8280], [0.0665, 0.9197, 0.9740], [0.1165, 0.9133, 0.5244], [0.5922, 0.9199, 0.5752], [0.8980, 0.7229, 0.5566], [0.8142, 0.2699, 0.7630], [0.7506, 0.2759, 0.5548], [0.8973, 0.4612, 0.2854], [0.7858, 0.9846, 0.3077], [0.6858, 0.2699, 0.2630], [0.7142, 0.9846, 0.8077], [0.6253, 0.4914, 0.3280], [0.6020, 0.7229, 0.0566], [0.3980, 0.2771, 0.9434], [0.3142, 0.7301, 0.7370], [0.6027, 0.4612, 0.7854], [0.2494, 0.7241, 0.4452], [0.8835, 0.0867, 0.4756], [0.4966, 0.2187, 0.7727], [0.3835, 0.9133, 0.0244], [0.0922, 0.0801, 0.9248], [0.6165, 0.0867, 0.9756], [0.2142, 0.0154, 0.6923], [0.5034, 0.7813, 0.2273], [0.2858, 0.0154, 0.1923], [0.4078, 0.0801, 0.4248], [0.5497, 0.0870, 0.2058], [0.3747, 0.5086, 0.6720], [0.9503, 0.0870, 0.7058], [0.1020, 0.2771, 0.4434], [0.0034, 0.2187, 0.2727], [0.4503, 0.9130, 0.7942], [0.1858, 0.7301, 0.2370], [0.2506, 0.7241, 0.9452], [0.9966, 0.7813, 0.7273], [0.9335, 0.0803, 0.0260], [0.3973, 0.5388, 0.2146], [0.9078, 0.9199, 0.0752], [0.5665, 0.0803, 0.5260], [0.7494, 0.2759, 0.0548], [0.0497, 0.9130, 0.2942], [0.4335, 0.9197, 0.4740], [0.7445, 0.3093, 0.8860], [0.7555, 0.3093, 0.3860], [0.5519, 0.9607, 0.8988], [0.4481, 0.0393, 0.1012], [0.9481, 0.9607, 0.3988], [0.0519, 0.0393, 0.6012], [0.2555, 0.6907, 0.1140], [0.2445, 0.6907, 0.6140]]
}

no.,total moment (μB/atom),mass density (g/cm3),formation energy from the elements (eV/atom)
1,0.000,2.455,-1.676
2,0.140,2.243,-1.799
3,0.000,2.831,-2.685
4,0.063,2.604,-2.217